First-principles (PBE with a Hubbard U) data for crystalline MgMnO2 at its relaxed geometry, as listed in the Materials Project database.

Cell and atoms, written as CIF:
```
data_MgMnO2
_cell_length_a 3.099
_cell_length_b 7.593
_cell_length_c 7.616
_cell_angle_alpha 70.57
_cell_angle_beta 90.00
_cell_angle_gamma 90.00
_space_group_name_H-M_alt 'P 1'
_space_group_IT_number 1
_space_group_name_Hall 'P 1'
loop_
_atom_site_label
_atom_site_type_symbol
_atom_site_fract_x
_atom_site_fract_y
_atom_site_fract_z
_atom_site_occupancy
Mn1 Mn 0.750 0.063 0.306 1
Mn2 Mn 0.750 0.315 0.563 1
Mn3 Mn 0.250 0.685 0.437 1
Mn4 Mn 0.250 0.937 0.694 1
O1 O 0.250 0.936 0.176 1
O2 O 0.750 0.562 0.300 1
O3 O 0.750 0.806 0.571 1
O4 O 0.750 0.318 0.056 1
O5 O 0.250 0.438 0.700 1
O6 O 0.250 0.682 0.944 1
O7 O 0.250 0.194 0.429 1
O8 O 0.750 0.064 0.824 1
Mg1 Mg 0.250 0.439 0.183 1
Mg2 Mg 0.250 0.190 0.938 1
Mg3 Mg 0.750 0.810 0.062 1
Mg4 Mg 0.750 0.561 0.817 1
```

Properties
formation enthalpy at 0 K = -240.0 kJ per mole of atoms
ρ = 4.372 g/cm3
crystal system = monoclinic
size of the total moment = 20.00 Bohr magnetons per cell
symmetry = P2_1/m



First-principles (PBE with a Hubbard U) data for crystalline NaCr3O8 at its relaxed geometry, as listed in the Materials Project database.

Cell and atoms, written as CIF:
```
data_NaCr3O8
_cell_length_a 5.165
_cell_length_b 5.165
_cell_length_c 14.056
_cell_angle_alpha 90.08
_cell_angle_beta 90.08
_cell_angle_gamma 64.99
_space_group_name_H-M_alt 'P 1'
_space_group_IT_number 1
_space_group_name_Hall 'P 1'
loop_
_atom_site_label
_atom_site_type_symbol
_atom_site_fract_x
_atom_site_fract_y
_atom_site_fract_z
_atom_site_occupancy
Na1 Na 0.000 0.000 0.500 1
Na2 Na 0.000 0.000 0.000 1
O1 O 0.722 0.722 0.966 1
O2 O 0.224 0.224 0.222 1
O3 O 0.280 0.785 0.352 1
O4 O 0.278 0.278 0.534 1
O5 O 0.278 0.278 0.034 1
O6 O 0.776 0.776 0.778 1
O7 O 0.215 0.720 0.648 1
O8 O 0.785 0.280 0.852 1
O9 O 0.776 0.776 0.278 1
O10 O 0.224 0.224 0.722 1
O11 O 0.215 0.720 0.148 1
O12 O 0.720 0.215 0.148 1
O13 O 0.280 0.785 0.852 1
O14 O 0.785 0.280 0.352 1
O15 O 0.720 0.215 0.648 1
O16 O 0.722 0.722 0.466 1
Cr1 Cr 0.357 0.357 0.138 1
Cr2 Cr 0.643 0.643 0.862 1
Cr3 Cr 0.643 0.643 0.362 1
Cr4 Cr 0.000 0.000 0.250 1
Cr5 Cr 0.357 0.357 0.638 1
Cr6 Cr 0.000 0.000 0.750 1
```

Properties
formation enthalpy at 0 K = -183.8 kJ per mole of atoms
ρ = 3.000 g/cm3
energy above the lowest structure with this stoichiometry = 0 meV/atom
size of the total moment = 5.99 Bohr magnetons per cell